A plane-wave DFT calculation with PBE was carried out for Zn3Rh2C12N12 after structural relaxation.

```
Zn3Rh2C12N12
1.0
7.5216 0.0000 0.0000
0.0000 7.5216 0.0000
0.0000 0.0000 10.6339
Zn Rh C N
3 2 12 12
Direct
0.0000 0.0000 0.0000
0.0000 0.5000 0.2527
0.5000 0.0000 0.7473
0.0000 0.5000 0.7496
0.5000 0.0000 0.2504
0.0000 0.5000 0.5607
0.0000 0.5000 0.9385
0.1889 0.3109 0.7497
0.1889 0.6891 0.7497
0.3109 0.1889 0.2503
0.3109 0.8111 0.2503
0.5000 0.0000 0.0615
0.5000 0.0000 0.4393
0.6891 0.1889 0.2503
0.6891 0.8111 0.2503
0.8111 0.3109 0.7497
0.8111 0.6891 0.7497
0.0000 0.5000 0.0487
0.0000 0.5000 0.4507
0.2001 0.2978 0.2486
0.2001 0.7022 0.2486
0.2978 0.2001 0.7514
0.2978 0.7999 0.7514
0.5000 0.0000 0.5493
0.5000 0.0000 0.9513
0.7022 0.2001 0.7514
0.7022 0.7999 0.7514
0.7999 0.2978 0.2486
0.7999 0.7022 0.2486
```

Results
**Energy of formation**: 26.5 kJ/mol of atoms
**Calculated total energy**: -7.482 eV/atom